# 1
Material: Li2CrO3
Method: DFT, PBE+U
State: optimized geometry

**Calculated volume**: 55 Å³/cell
**Energy relative to the lowest polymorph listed for this composition**: 0.095 eV/atom
**Formation energy from the elements**: -2.154 eV/atom
**Space-group type**: Cmmm, No. 65
**E**: -6.1960 eV/atom

POSCAR file:
```
Li2CrO3
1.0
1.970 -4.728 0.000
1.970 4.728 0.000
0.000 0.000 2.964
Li Cr O
2 1 3
direct
0.154 0.846 0.000 Li
0.846 0.154 0.000 Li
0.500 0.500 0.500 Cr
0.000 0.000 0.500 O
0.365 0.635 0.000 O
0.635 0.365 0.000 O
```

***

# 2
Material: Li3Cr5O8
Method: DFT, PBE+U
State: optimized geometry

**Calculated volume**: 154 Å³/cell
**Energy relative to the lowest polymorph listed for this composition**: 0.046 eV/atom
**Formation energy from the elements**: -2.185 eV/atom
**Space-group type**: R-3m, No. 166
**E**: -7.0653 eV/atom

POSCAR file:
```
Li3Cr5O8
1.0
3.015 1.741 4.894
-3.015 1.741 4.894
0.000 -3.482 4.894
Li Cr O
3 5 8
direct
0.000 0.500 0.500 Li
0.500 0.000 0.500 Li
0.500 0.500 0.000 Li
0.000 0.000 0.000 Cr
0.000 0.000 0.500 Cr
0.000 0.500 0.000 Cr
0.500 0.000 0.000 Cr
0.500 0.500 0.500 Cr
0.235 0.752 0.752 O
0.241 0.241 0.241 O
0.248 0.248 0.765 O
0.248 0.765 0.248 O
0.752 0.235 0.752 O
0.752 0.752 0.235 O
0.759 0.759 0.759 O
0.765 0.248 0.248 O
```

***

# 3
Material: Li3CrO4
Method: DFT, PBE+U
State: optimized geometry

**Calculated volume**: 275 Å³/cell
**Energy relative to the lowest polymorph listed for this composition**: 0.075 eV/atom
**Formation energy from the elements**: -2.105 eV/atom
**Space-group type**: C2/c, No. 15
**E**: -5.9082 eV/atom

POSCAR file:
```
Li3CrO4
1.0
4.096 -4.106 0.000
4.096 4.106 0.000
-3.907 0.000 8.179
Li Cr O
12 4 16
direct
0.061 0.830 0.876 Li
0.062 0.319 0.881 Li
0.170 0.939 0.624 Li
0.195 0.441 0.633 Li
0.319 0.062 0.381 Li
0.441 0.195 0.133 Li
0.559 0.805 0.867 Li
0.681 0.938 0.619 Li
0.805 0.559 0.367 Li
0.830 0.061 0.376 Li
0.938 0.681 0.119 Li
0.939 0.170 0.124 Li
0.284 0.561 0.376 Cr
0.439 0.716 0.124 Cr
0.561 0.284 0.876 Cr
0.716 0.439 0.624 Cr
0.079 0.329 0.367 O
0.085 0.795 0.382 O
0.205 0.915 0.118 O
0.220 0.460 0.145 O
0.329 0.079 0.867 O
0.332 0.556 0.895 O
0.444 0.668 0.605 O
0.460 0.220 0.645 O
0.540 0.780 0.355 O
0.556 0.332 0.395 O
0.668 0.444 0.105 O
0.671 0.921 0.133 O
0.780 0.540 0.855 O
0.795 0.085 0.882 O
0.915 0.205 0.618 O
0.921 0.671 0.633 O
```

***

# 4
Material: LiCrO3
Method: DFT, PBE+U
State: optimized geometry

**Calculated volume**: 50 Å³/cell
**Formation energy from the elements**: -1.667 eV/atom
**Space-group type**: Pm-3m, No. 221
**E**: -6.1359 eV/atom

POSCAR file:
```
LiCrO3
1.0
3.679 0.000 0.000
0.000 3.679 0.000
0.000 0.000 3.679
Li Cr O
1 1 3
direct
0.000 0.000 0.000 Li
0.500 0.500 0.500 Cr
0.000 0.500 0.500 O
0.500 0.000 0.500 O
0.500 0.500 0.000 O
```

***

# 5
Material: Li3CrO4
Method: DFT, PBE+U
State: optimized geometry

**Calculated volume**: 188 Å³/cell
**Energy relative to the lowest polymorph listed for this composition**: 0.058 eV/atom
**Formation energy from the elements**: -2.122 eV/atom
**Space-group type**: P1, No. 1
**E**: -5.9249 eV/atom

POSCAR file:
```
Li3CrO4
1.0
5.151 0.000 0.000
2.363 4.896 0.000
2.440 -0.107 7.435
Li Cr O
6 2 8
direct
0.000 0.000 0.000 Li
0.012 0.526 0.168 Li
0.341 0.476 0.416 Li
0.585 0.904 0.799 Li
0.777 0.903 0.460 Li
0.827 0.407 0.537 Li
0.218 0.486 0.767 Cr
0.397 0.924 0.231 Cr
0.083 0.322 0.947 O
0.121 0.824 0.229 O
0.210 0.244 0.330 O
0.313 0.726 0.812 O
0.540 0.236 0.620 O
0.609 0.681 0.361 O
0.652 0.925 0.031 O
0.968 0.634 0.632 O
```

***

# 6
Material: Li3Cr5O8
Method: DFT, PBE+U
State: optimized geometry

**Calculated volume**: 316 Å³/cell
**Energy relative to the lowest polymorph listed for this composition**: 0.002 eV/atom
**Formation energy from the elements**: -2.230 eV/atom
**Space-group type**: P-1, No. 2
**E**: -7.1101 eV/atom

POSCAR file:
```
Li3Cr5O8
1.0
6.060 0.000 0.000
3.008 5.276 0.000
3.001 -1.516 9.888
Li Cr O
6 10 16
direct
0.000 0.000 0.000 Li
0.000 0.500 0.500 Li
0.001 0.248 0.749 Li
0.002 0.751 0.749 Li
0.998 0.249 0.251 Li
0.999 0.752 0.251 Li
0.000 0.000 0.500 Cr
0.000 0.500 0.000 Cr
0.496 0.249 0.248 Cr
0.497 0.253 0.749 Cr
0.500 0.000 0.000 Cr
0.500 0.000 0.500 Cr
0.500 0.500 0.000 Cr
0.500 0.500 0.500 Cr
0.503 0.747 0.251 Cr
0.504 0.751 0.752 Cr
0.254 0.149 0.883 O
0.254 0.650 0.383 O
0.277 0.357 0.116 O
0.277 0.358 0.619 O
0.278 0.103 0.370 O
0.282 0.856 0.119 O
0.283 0.605 0.869 O
0.288 0.852 0.619 O
0.712 0.148 0.381 O
0.717 0.395 0.131 O
0.718 0.144 0.881 O
0.722 0.897 0.630 O
0.723 0.642 0.381 O
0.723 0.643 0.884 O
0.746 0.350 0.617 O
0.746 0.851 0.117 O
```

***

# 7
Material: Li3CrO4
Method: DFT, PBE+U
State: optimized geometry

**Largest piezoelectric modulus**: 1.22 C/m2
**Calculated volume**: 176 Å³/cell
**Energy relative to the lowest polymorph listed for this composition**: 0.000 eV/atom
**Formation energy from the elements**: -2.180 eV/atom
**Space-group type**: Pmn2_1, No. 31
**E**: -5.9832 eV/atom

POSCAR file:
```
Li3CrO4
1.0
6.402 0.000 0.000
0.000 5.463 0.000
0.000 0.000 5.026
Li Cr O
6 2 8
direct
0.000 0.160 0.000 Li
0.247 0.332 0.501 Li
0.253 0.668 0.001 Li
0.500 0.840 0.500 Li
0.747 0.668 0.001 Li
0.753 0.332 0.501 Li
0.000 0.828 0.509 Cr
0.500 0.172 0.009 Cr
0.000 0.128 0.397 O
0.000 0.819 0.853 O
0.226 0.685 0.402 O
0.274 0.315 0.902 O
0.500 0.181 0.353 O
0.500 0.872 0.897 O
0.726 0.315 0.902 O
0.774 0.685 0.402 O
```

***

# 8
Material: Li2Cr4O13
Method: DFT, PBE+U
State: optimized geometry

**Calculated volume**: 1216 Å³/cell
**Energy relative to the lowest polymorph listed for this composition**: 0.001 eV/atom
**Formation energy from the elements**: -1.730 eV/atom
**Space-group type**: P2_1/c, No. 14
**E**: -6.4576 eV/atom

POSCAR file:
```
Li2Cr4O13
1.0
8.752 0.000 0.000
0.000 9.554 0.000
-3.540 0.000 14.541
Li Cr O
8 16 52
direct
0.049 0.004 0.227 Li
0.049 0.496 0.727 Li
0.433 0.006 0.246 Li
0.433 0.494 0.746 Li
0.567 0.506 0.254 Li
0.567 0.994 0.754 Li
0.951 0.504 0.273 Li
0.951 0.996 0.773 Li
0.136 0.746 0.936 Cr
0.136 0.754 0.436 Cr
0.214 0.709 0.161 Cr
0.214 0.791 0.661 Cr
0.278 0.223 0.841 Cr
0.278 0.277 0.341 Cr
0.483 0.241 0.066 Cr
0.483 0.259 0.566 Cr
0.517 0.741 0.434 Cr
0.517 0.759 0.934 Cr
0.722 0.723 0.659 Cr
0.722 0.777 0.159 Cr
0.786 0.209 0.339 Cr
0.786 0.291 0.839 Cr
0.864 0.246 0.564 Cr
0.864 0.254 0.064 Cr
0.017 0.626 0.401 O
0.017 0.874 0.901 O
0.101 0.621 0.862 O
0.101 0.879 0.362 O
0.110 0.148 0.836 O
0.110 0.352 0.336 O
0.113 0.684 0.040 O
0.113 0.816 0.540 O
0.123 0.617 0.224 O
0.123 0.883 0.724 O
0.223 0.625 0.690 O
0.223 0.875 0.190 O
0.252 0.131 0.281 O
0.252 0.369 0.781 O
0.330 0.692 0.449 O
0.330 0.808 0.949 O
0.361 0.226 0.461 O
0.361 0.274 0.961 O
0.393 0.116 0.804 O
0.393 0.384 0.304 O
0.393 0.651 0.176 O
0.393 0.849 0.676 O
0.417 0.116 0.119 O
0.417 0.384 0.619 O
0.498 0.620 0.872 O
0.498 0.880 0.372 O
0.502 0.120 0.628 O
0.502 0.380 0.128 O
0.583 0.616 0.381 O
0.583 0.884 0.881 O
0.607 0.151 0.324 O
0.607 0.349 0.824 O
0.607 0.616 0.696 O
0.607 0.884 0.196 O
0.639 0.726 0.039 O
0.639 0.774 0.539 O
0.670 0.192 0.051 O
0.670 0.308 0.551 O
0.748 0.631 0.219 O
0.748 0.869 0.719 O
0.777 0.125 0.810 O
0.777 0.375 0.310 O
0.877 0.117 0.276 O
0.877 0.383 0.776 O
0.887 0.184 0.460 O
0.887 0.316 0.960 O
0.890 0.648 0.664 O
0.890 0.852 0.164 O
0.899 0.121 0.638 O
0.899 0.379 0.138 O
0.983 0.126 0.099 O
0.983 0.374 0.599 O
```

***

# 9
Material: Li3CrO4
Method: DFT, PBE+U
State: optimized geometry

**Calculated volume**: 275 Å³/cell
**Energy relative to the lowest polymorph listed for this composition**: 0.084 eV/atom
**Formation energy from the elements**: -2.096 eV/atom
**E**: -5.8992 eV/atom

POSCAR file:
```
Li3CrO4
1.0
-4.971 -1.565 2.455
6.512 -7.024 2.537
-1.538 2.518 4.948
Li Cr O
12 4 16
direct
0.000 0.000 0.500 Li
0.750 0.750 0.250 Li
0.500 0.500 0.000 Li
0.250 0.250 0.750 Li
0.000 0.000 0.000 Li
0.749 0.750 0.751 Li
0.500 0.500 0.500 Li
0.249 0.250 0.250 Li
0.500 0.000 0.500 Li
0.251 0.750 0.249 Li
0.000 0.500 0.000 Li
0.750 0.250 0.749 Li
0.501 0.001 0.001 Cr
0.250 0.750 0.750 Cr
0.000 0.500 0.500 Cr
0.750 0.250 0.250 Cr
0.148 0.875 0.102 O
0.897 0.625 0.853 O
0.648 0.375 0.602 O
0.397 0.125 0.353 O
0.853 0.125 0.897 O
0.602 0.875 0.648 O
0.353 0.625 0.397 O
0.102 0.375 0.148 O
0.138 0.861 0.638 O
0.889 0.611 0.389 O
0.638 0.361 0.138 O
0.389 0.111 0.889 O
0.861 0.139 0.361 O
0.612 0.889 0.112 O
0.361 0.639 0.861 O
0.112 0.389 0.612 O
```

***

# 10
Material: Li2CrO3
Method: DFT, PBE+U
State: optimized geometry

**Largest piezoelectric modulus**: 1.65 C/m2
**Calculated volume**: 134 Å³/cell
**Energy relative to the lowest polymorph listed for this composition**: 0.064 eV/atom
**Formation energy from the elements**: -2.185 eV/atom
**Space-group type**: Cmc2_1, No. 36
**E**: -6.2270 eV/atom

POSCAR file:
```
Li2CrO3
1.0
4.802 -2.803 0.000
4.802 2.803 0.000
0.000 0.000 4.992
Li Cr O
4 2 6
direct
0.006 0.335 0.000 Li
0.335 0.006 0.500 Li
0.665 0.994 0.000 Li
0.994 0.665 0.500 Li
0.323 0.677 0.004 Cr
0.677 0.323 0.504 Cr
0.023 0.671 0.101 O
0.329 0.977 0.101 O
0.363 0.637 0.630 O
0.637 0.363 0.130 O
0.671 0.023 0.601 O
0.977 0.329 0.601 O
```

***

# 11
Material: Li2Cr2O7
Method: DFT, PBE+U
State: optimized geometry

**Calculated volume**: 274 Å³/cell
**Energy relative to the lowest polymorph listed for this composition**: 0.055 eV/atom
**Formation energy from the elements**: -1.825 eV/atom
**Space-group type**: P-1, No. 2
**E**: -6.2748 eV/atom

POSCAR file:
```
Li2Cr2O7
1.0
6.469 0.000 0.000
-0.396 6.724 0.000
-2.426 -0.528 6.290
Li Cr O
4 4 14
direct
0.212 0.126 0.453 Li
0.247 0.668 0.175 Li
0.753 0.332 0.825 Li
0.788 0.874 0.547 Li
0.256 0.165 0.978 Cr
0.295 0.655 0.678 Cr
0.705 0.345 0.322 Cr
0.744 0.835 0.022 Cr
0.038 0.645 0.660 O
0.129 0.362 0.002 O
0.157 0.066 0.732 O
0.233 0.008 0.149 O
0.336 0.793 0.499 O
0.382 0.434 0.655 O
0.455 0.758 0.946 O
0.545 0.242 0.054 O
0.618 0.566 0.345 O
0.664 0.207 0.501 O
0.767 0.992 0.851 O
0.843 0.934 0.268 O
0.871 0.638 0.998 O
0.962 0.355 0.340 O
```

***

# 12
Material: Li3CrO4
Method: DFT, PBE+U
State: optimized geometry

**Calculated volume**: 414 Å³/cell
**Energy relative to the lowest polymorph listed for this composition**: 0.074 eV/atom
**Formation energy from the elements**: -2.106 eV/atom
**Space-group type**: P2, No. 3
**E**: -5.9088 eV/atom

POSCAR file:
```
Li3CrO4
1.0
5.805 0.000 0.000
0.000 5.788 0.000
-2.738 0.000 12.319
Li Cr O
18 6 24
direct
0.000 0.000 0.000 Li
0.000 0.215 0.500 Li
0.000 0.479 0.000 Li
0.000 0.718 0.500 Li
0.154 0.465 0.334 Li
0.165 0.237 0.832 Li
0.172 0.969 0.338 Li
0.176 0.725 0.842 Li
0.335 0.225 0.170 Li
0.338 0.461 0.668 Li
0.500 0.715 0.500 Li
0.500 0.972 0.000 Li
0.662 0.461 0.332 Li
0.665 0.225 0.830 Li
0.824 0.725 0.158 Li
0.828 0.969 0.662 Li
0.835 0.237 0.168 Li
0.846 0.465 0.666 Li
0.304 0.725 0.168 Cr
0.306 0.961 0.669 Cr
0.500 0.238 0.500 Cr
0.500 0.448 0.000 Cr
0.694 0.961 0.331 Cr
0.696 0.725 0.832 Cr
0.102 0.951 0.161 O
0.103 0.492 0.171 O
0.103 0.736 0.662 O
0.105 0.196 0.671 O
0.269 0.244 0.995 O
0.270 0.442 0.495 O
0.275 0.972 0.513 O
0.277 0.713 0.013 O
0.426 0.723 0.319 O
0.427 0.963 0.819 O
0.435 0.191 0.347 O
0.435 0.494 0.847 O
0.565 0.191 0.653 O
0.565 0.494 0.153 O
0.573 0.963 0.181 O
0.574 0.723 0.681 O
0.723 0.713 0.987 O
0.725 0.972 0.487 O
0.730 0.442 0.505 O
0.731 0.244 0.005 O
0.895 0.196 0.329 O
0.897 0.492 0.829 O
0.897 0.736 0.338 O
0.898 0.951 0.839 O
```

***

# 13
Material: Li2CrO3
Method: DFT, PBE+U
State: optimized geometry

**Calculated volume**: 207 Å³/cell
**Energy relative to the lowest polymorph listed for this composition**: 0.095 eV/atom
**Formation energy from the elements**: -2.154 eV/atom
**Space-group type**: Pnna, No. 52
**E**: -6.1968 eV/atom

POSCAR file:
```
Li2CrO3
1.0
4.999 0.000 0.000
0.000 4.940 0.000
0.000 0.000 8.375
Li Cr O
8 4 12
direct
0.250 0.000 0.073 Li
0.250 0.000 0.763 Li
0.250 0.500 0.427 Li
0.250 0.500 0.737 Li
0.750 0.000 0.237 Li
0.750 0.000 0.927 Li
0.750 0.500 0.263 Li
0.750 0.500 0.573 Li
0.250 0.000 0.413 Cr
0.250 0.500 0.087 Cr
0.750 0.000 0.587 Cr
0.750 0.500 0.913 Cr
0.083 0.219 0.572 O
0.083 0.281 0.928 O
0.107 0.250 0.250 O
0.393 0.750 0.250 O
0.417 0.719 0.928 O
0.417 0.781 0.572 O
0.583 0.219 0.428 O
0.583 0.281 0.072 O
0.607 0.250 0.750 O
0.893 0.750 0.750 O
0.917 0.719 0.072 O
0.917 0.781 0.428 O
```